Here is crystalline KIO3 at its relaxed geometry from the Materials Project database. Energies are from PBE.

Cell and atoms, written as CIF:
```
data_KIO3
_chemical_formula_sum 'K1 I1 O3'
_cell_length_a 4.2003
_cell_length_b 4.2003
_cell_length_c 4.2003
_cell_angle_alpha 90.00
_cell_angle_beta 90.00
_cell_angle_gamma 90.00
_symmetry_space_group_name_H-M 'P m -3 m'
_symmetry_Int_Tables_number 221
_symmetry_space_group_name_Hall '-P 4 2 3'
loop_
_atom_site_label
_atom_site_fract_x
_atom_site_fract_y
_atom_site_fract_z
_atom_site_occupancy
K1 0.0000 0.0000 0.0000 1
I1 0.5000 0.5000 0.5000 1
O1 0.0000 0.5000 0.5000 1
```

Here is crystalline Al5W at its relaxed geometry from the Materials Project database. Energies are from PBE.

Cell and atoms, written as CIF:
```
data_Al5W
_chemical_formula_sum 'Al10 W2'
_cell_length_a 4.9154
_cell_length_b 4.9154
_cell_length_c 8.8753
_cell_angle_alpha 90.00
_cell_angle_beta 90.00
_cell_angle_gamma 120.00
_symmetry_space_group_name_H-M 'P 63 2 2'
_symmetry_Int_Tables_number 182
_symmetry_space_group_name_Hall 'P 6c 2c'
loop_
_atom_site_label
_atom_site_fract_x
_atom_site_fract_y
_atom_site_fract_z
_atom_site_occupancy
Al1 0.0000 0.0000 0.2500 1
Al2 0.0000 0.3375 0.0000 1
Al3 0.3333 0.6667 0.2500 1
W1 0.3333 0.6667 0.7500 1
```

Here is crystalline KNaZr2BeP4O16 at its relaxed geometry from the Materials Project database. Energies are from PBE.

Cell and atoms, written as CIF:
```
data_KNaZr2BeP4O16
_chemical_formula_sum 'K1 Na1 Zr2 Be1 P4 O16'
_cell_length_a 7.4370
_cell_length_b 7.8399
_cell_length_c 7.9284
_cell_angle_alpha 107.64
_cell_angle_beta 114.94
_cell_angle_gamma 104.29
_symmetry_space_group_name_H-M 'P 1'
_symmetry_Int_Tables_number 1
_symmetry_space_group_name_Hall 'P 1'
loop_
_atom_site_label
_atom_site_fract_x
_atom_site_fract_y
_atom_site_fract_z
_atom_site_occupancy
K1 0.0000 0.0000 0.0000 1
Na1 0.7082 0.1047 0.5296 1
Zr1 0.0829 0.8044 0.5268 1
Zr2 0.1670 0.5858 0.0823 1
Be1 0.6352 0.5949 0.8399 1
P1 0.3823 0.4615 0.3813 1
P2 0.4210 0.2973 0.9073 1
P3 0.4672 0.8376 0.0183 1
P4 0.6162 0.2998 0.2150 1
O1 0.1325 0.3766 0.2200 1
O2 0.1700 0.7842 0.3115 1
O3 0.2308 0.3429 0.9011 1
O4 0.2553 0.8170 0.8343 1
O5 0.3558 0.1041 0.7257 1
O6 0.4362 0.4973 0.5975 1
O7 0.4608 0.2852 0.3114 1
O8 0.4887 0.6252 0.3428 1
O9 0.6109 0.4712 0.9564 1
O10 0.6280 0.8039 0.9512 1
O11 0.6356 0.0982 0.1872 1
O12 0.8381 0.4772 0.3653 1
O13 0.8726 0.4170 0.7982 1
O14 0.8736 0.9203 0.4250 1
O15 0.8786 0.6180 0.8627 1
O16 0.9095 0.9257 0.6284 1
```

Here is crystalline Ba6ZrZn6S14 at its relaxed geometry from the Materials Project database. Energies are from PBE.

Cell and atoms, written as CIF:
```
data_Ba6ZrZn6S14
_chemical_formula_sum 'Ba24 Zr4 Zn24 S56'
_cell_length_a 16.5671
_cell_length_b 16.5671
_cell_length_c 9.9250
_cell_angle_alpha 90.00
_cell_angle_beta 90.00
_cell_angle_gamma 90.00
_symmetry_space_group_name_H-M 'I 4/m c m'
_symmetry_Int_Tables_number 140
_symmetry_space_group_name_Hall '-I 4 2c'
loop_
_atom_site_label
_atom_site_fract_x
_atom_site_fract_y
_atom_site_fract_z
_atom_site_occupancy
Ba1 0.0000 0.1966 0.2500 1
Ba2 0.2295 0.2705 0.0000 1
Zr1 0.0000 0.0000 0.0000 1
Zn1 0.0895 0.4105 0.1503 1
Zn2 0.1173 0.3827 0.5000 1
S1 0.0000 0.0000 0.2500 1
S2 0.0000 0.5000 0.2500 1
S3 0.0155 0.3269 0.0000 1
S4 0.1123 0.1116 0.0000 1
S5 0.1688 0.3312 0.2916 1
```

# Li4P2O7 PBE relaxed
# relative energy among the computed polymorphs = 612 meV/atom
data_Li4P2O7
_chemical_formula_sum 'Li8 P4 O14'
_cell_length_a 5.5806
_cell_length_b 5.8222
_cell_length_c 9.9887
_cell_angle_alpha 103.36
_cell_angle_beta 97.74
_cell_angle_gamma 98.42
_symmetry_space_group_name_H-M 'P -1'
_symmetry_Int_Tables_number 2
_symmetry_space_group_name_Hall '-P 1'
loop_
_atom_site_label
_atom_site_fract_x
_atom_site_fract_y
_atom_site_fract_z
_atom_site_occupancy
Li1 0.0963 0.3142 0.4214 1
Li2 0.1983 0.6879 0.0004 1
Li3 0.2092 0.7613 0.3045 1
Li4 0.2973 0.1027 0.8072 1
P1 0.3301 0.2885 0.1314 1
P2 0.4664 0.7797 0.5742 1
O1 0.0431 0.0234 0.2471 1
O2 0.1472 0.4646 0.1340 1
O3 0.1739 0.0217 0.1251 1
O4 0.1989 0.6689 0.4913 1
O5 0.4380 0.2404 0.9975 1
O6 0.4597 0.0412 0.6549 1
O7 0.4623 0.6362 0.7385 1

Here is crystalline Rb2AgI3 at its relaxed geometry from the Materials Project database. Energies are from PBE.

Cell and atoms, written as CIF:
```
data_Rb2AgI3
_chemical_formula_sum 'Rb8 Ag4 I12'
_cell_length_a 10.5536
_cell_length_b 4.9868
_cell_length_c 20.3840
_cell_angle_alpha 90.00
_cell_angle_beta 90.00
_cell_angle_gamma 90.00
_symmetry_space_group_name_H-M 'P n m a'
_symmetry_Int_Tables_number 62
_symmetry_space_group_name_Hall '-P 2ac 2n'
loop_
_atom_site_label
_atom_site_fract_x
_atom_site_fract_y
_atom_site_fract_z
_atom_site_occupancy
Rb1 0.0792 0.2500 0.2126 1
Rb2 0.2447 0.7500 0.4582 1
Ag1 0.1377 0.2500 0.6359 1
I1 0.0056 0.7500 0.6030 1
I2 0.1225 0.7500 0.0707 1
I3 0.1850 0.2500 0.7754 1
```

| no. | ΔH_f (0 K) (meV per atom) |
| --- | --- |
| 1 | -1172.6 |
| 2 | -160.8 |
| 3 | -2183.2 |
| 4 | -1721.9 |
| 5 | -2131.8 |
| 6 | -1292.1 |